[1]
Here is an optimized crystal structure of AuSCl7 from the Materials Project database. Energies are from PBE-GGA.

Cell and atoms, written as POSCAR:
```
AuSCl7
1.0
10.439 0.000 0.000
0.000 9.083 0.000
0.000 3.683 11.642
Au S Cl
4 4 28
Direct
0.094 0.785 0.031
0.406 0.785 0.531
0.594 0.215 0.469
0.906 0.215 0.969
0.293 0.238 0.013
0.793 0.762 0.487
0.207 0.238 0.513
0.707 0.762 0.987
0.286 0.431 0.065
0.714 0.569 0.935
0.231 0.695 0.186
0.247 0.948 0.430
0.540 0.867 0.371
0.434 0.375 0.364
0.076 0.300 0.385
0.786 0.569 0.435
0.040 0.133 0.129
0.895 0.901 0.355
0.214 0.431 0.565
0.395 0.099 0.145
0.566 0.625 0.636
0.753 0.052 0.570
0.460 0.133 0.629
0.605 0.901 0.855
0.934 0.625 0.136
0.747 0.052 0.070
0.731 0.305 0.314
0.253 0.948 0.930
0.576 0.700 0.115
0.066 0.375 0.864
0.424 0.300 0.885
0.269 0.695 0.686
0.960 0.867 0.871
0.105 0.099 0.645
0.769 0.305 0.814
0.924 0.700 0.615
```

Values from the calculation:
Space-group type = P2_1/c
VASP energy = -2.503 eV per atom

---

[2]
Here is an optimized crystal structure of AuSeCl7 from the Materials Project database. Energies are from PBE-GGA.

Cell and atoms, written as POSCAR:
```
AuSeCl7
1.0
10.506 0.000 0.000
0.000 9.077 0.000
0.000 4.134 12.377
Au Se Cl
4 4 28
Direct
0.079 0.786 0.048
0.579 0.214 0.452
0.921 0.214 0.952
0.421 0.786 0.548
0.720 0.767 0.997
0.220 0.233 0.503
0.280 0.233 0.003
0.780 0.767 0.497
0.707 0.543 0.966
0.207 0.457 0.534
0.293 0.457 0.034
0.793 0.543 0.466
0.584 0.633 0.648
0.084 0.367 0.852
0.416 0.367 0.352
0.916 0.633 0.148
0.543 0.836 0.389
0.043 0.164 0.111
0.457 0.164 0.611
0.957 0.836 0.889
0.260 0.943 0.448
0.760 0.057 0.052
0.740 0.057 0.552
0.240 0.943 0.948
0.299 0.728 0.702
0.799 0.272 0.798
0.701 0.272 0.298
0.201 0.728 0.202
0.571 0.723 0.123
0.071 0.277 0.377
0.429 0.277 0.877
0.929 0.723 0.623
0.893 0.898 0.356
0.393 0.102 0.144
0.107 0.102 0.644
0.607 0.898 0.856
```

Values from the calculation:
Space-group type = P2_1/c
VASP energy = -2.512 eV per atom

---

[3]
Here is an optimized crystal structure of TeAuCl7 from the Materials Project database. Energies are from PBE-GGA.

Cell and atoms, written as POSCAR:
```
TeAuCl7
1.0
7.976 0.000 0.000
-0.045 8.374 0.000
-0.859 -1.871 9.305
Te Au Cl
2 2 14
Direct
0.301 0.228 0.767
0.699 0.772 0.233
0.074 0.801 0.560
0.926 0.199 0.440
0.558 0.140 0.865
0.442 0.860 0.135
0.644 0.145 0.453
0.356 0.855 0.547
0.960 0.327 0.681
0.040 0.673 0.319
0.211 0.244 0.426
0.789 0.756 0.574
0.892 0.069 0.200
0.108 0.931 0.800
0.203 0.319 0.993
0.797 0.681 0.007
0.588 0.515 0.244
0.412 0.485 0.756
```

Values from the calculation:
Space-group type = P-1
VASP energy = -2.613 eV per atom

---

[4]
Here is an optimized crystal structure of TiAuCl from the Materials Project database. Energies are from PBE-GGA.

Cell and atoms, written as POSCAR:
```
TiAuCl
1.0
0.262 -1.944 3.910
-3.599 -0.509 2.435
-1.703 -3.988 0.579
Ti Au Cl
1 1 1
Direct
0.000 0.000 0.000
0.500 0.500 0.500
0.750 0.750 0.750
```

Values from the calculation:
Space-group type = F-43m
VASP energy = -4.059 eV per atom

---

Among the records above, which one has the lowest VASP energy?
TiAuCl

---

What is the VASP energy in the second record?
-2.512 eV per atom

---

Among the records above, which one has the lowest VASP energy?
TiAuCl